i:
Below is Li3Co2Si2O8 after structural relaxation, with properties calculated at the PBE+U level.

Cell lengths 9.7836, 9.9245, 9.9675 Å; angles 95.50, 116.09, 115.98 degrees
Positions (direct):
Li 0.0000 0.0000 0.0000
Li 0.0126 0.6407 0.3633
Li 0.1412 0.5237 0.6461
Li 0.2023 0.0230 0.4108
Li 0.2526 0.3279 0.9311
Li 0.3834 0.1202 0.2263
Li 0.4913 0.9713 0.5067
Li 0.5170 0.6637 0.8579
Li 0.6278 0.5192 0.1391
Li 0.7618 0.3164 0.4328
Li 0.8159 0.6047 0.9714
Li 0.8706 0.1196 0.7220
Co 0.0012 0.2217 0.2779
Co 0.0020 0.9179 0.5875
Co 0.0057 0.7225 0.7770
Co 0.0120 0.4173 0.0875
Co 0.5028 0.2220 0.7752
Co 0.5030 0.7222 0.2742
Co 0.5078 0.9232 0.0831
Co 0.5103 0.4248 0.5865
Si 0.1785 0.7873 0.1456
Si 0.1807 0.2830 0.6359
Si 0.3232 0.8545 0.7130
Si 0.3309 0.3552 0.2239
Si 0.6822 0.2867 0.1414
Si 0.6837 0.7860 0.6476
Si 0.8317 0.3612 0.7263
Si 0.8323 0.8572 0.2130
O 0.0409 0.6231 0.1553
O 0.0428 0.7991 0.9763
O 0.0448 0.3020 0.4747
O 0.0626 0.1335 0.6740
O 0.1827 0.8819 0.7500
O 0.1851 0.3776 0.2512
O 0.2100 0.6893 0.5692
O 0.2344 0.1926 0.0796
O 0.2841 0.9472 0.2975
O 0.2931 0.4481 0.7840
O 0.3145 0.2474 0.5946
O 0.3297 0.7715 0.1211
O 0.4313 0.0093 0.6741
O 0.4425 0.5069 0.1834
O 0.4564 0.8418 0.8835
O 0.4630 0.3391 0.3905
O 0.5549 0.8008 0.4840
O 0.5578 0.3109 0.9835
O 0.5645 0.1271 0.1761
O 0.5669 0.6226 0.6803
O 0.6807 0.8799 0.2300
O 0.6978 0.4044 0.7608
O 0.7175 0.2013 0.5718
O 0.7262 0.6968 0.0616
O 0.7812 0.4434 0.2939
O 0.7982 0.9456 0.7985
O 0.8246 0.7495 0.6204
O 0.8284 0.2568 0.1222
O 0.9527 0.5185 0.6922
O 0.9651 0.0246 0.1979
O 0.9650 0.3389 0.8801
O 0.9696 0.8500 0.3799

As for the space-group type: P1, No. 1.

ii:
Below is Li3Co2Si2O8 after structural relaxation, with properties calculated at the PBE+U level.

Cell lengths 5.2218, 11.0501, 6.1289 Å; angles 90.00, 90.76, 90.00 degrees
Positions (direct):
Li 0.0461 0.0000 0.2412
Li 0.0553 0.0013 0.7564
Li 0.4505 0.6607 0.7435
Li 0.5495 0.1607 0.2565
Li 0.9447 0.5013 0.2436
Li 0.9539 0.5000 0.7588
Co 0.0778 0.7525 0.0142
Co 0.4400 0.9070 0.5005
Co 0.5600 0.4070 0.4995
Co 0.9222 0.2525 0.9858
Si 0.0631 0.2473 0.4952
Si 0.4357 0.4104 0.0044
Si 0.5643 0.9104 0.9956
Si 0.9369 0.7473 0.5048
O 0.0051 0.6728 0.2834
O 0.0442 0.6728 0.7226
O 0.0624 0.8874 0.4956
O 0.1176 0.4077 0.0016
O 0.3796 0.2606 0.4722
O 0.4436 0.7747 0.9964
O 0.4562 0.9843 0.7750
O 0.4638 0.9868 0.2179
O 0.5362 0.4868 0.7821
O 0.5438 0.4843 0.2250
O 0.5564 0.2747 0.0036
O 0.6204 0.7606 0.5278
O 0.8824 0.9077 0.9984
O 0.9376 0.3874 0.5044
O 0.9558 0.1728 0.2774
O 0.9949 0.1728 0.7166

As for the space-group type: P2_1, No. 4.

What should be chosen as the least stable of them? Choose i.

i:
Below is Mg8V5O16 after structural relaxation, with properties calculated at the PBE+U level.

Cell lengths 6.0397, 6.0397, 10.1901 Å; angles 106.64, 106.64, 59.27 degrees
Positions (direct):
Mg 0.0000 0.0000 0.0000
Mg 0.0000 0.5000 0.0000
Mg 0.1862 0.1862 0.5731
Mg 0.2470 0.2470 0.2527
Mg 0.5000 0.0000 0.0000
Mg 0.5000 0.5000 0.0000
Mg 0.7530 0.7530 0.7473
Mg 0.8138 0.8138 0.4269
V 0.2384 0.7506 0.7453
V 0.2494 0.7616 0.2547
V 0.5000 0.5000 0.5000
V 0.7506 0.2384 0.7453
V 0.7616 0.2494 0.2547
O 0.1151 0.1151 0.8721
O 0.1196 0.1196 0.3636
O 0.1259 0.6414 0.8749
O 0.1584 0.6176 0.3717
O 0.3586 0.8741 0.1251
O 0.3762 0.3762 0.1237
O 0.3824 0.8416 0.6283
O 0.3880 0.3880 0.6313
O 0.6120 0.6120 0.3687
O 0.6176 0.1584 0.3717
O 0.6238 0.6238 0.8763
O 0.6414 0.1259 0.8749
O 0.8416 0.3824 0.6283
O 0.8741 0.3586 0.1251
O 0.8804 0.8804 0.6364
O 0.8849 0.8849 0.1279

As for the space-group type: C2/m, No. 12.

ii:
Below is Mg8V5O16 after structural relaxation, with properties calculated at the PBE+U level.

Cell lengths 6.0381, 6.0532, 10.2958 Å; angles 73.80, 73.58, 60.09 degrees
Positions (direct):
Mg 0.0000 0.0000 0.0000
Mg 0.0016 0.5005 0.0002
Mg 0.2541 0.2530 0.2521
Mg 0.3228 0.3106 0.5686
Mg 0.5050 0.4967 0.9995
Mg 0.5081 0.9974 0.0044
Mg 0.6885 0.6893 0.4243
Mg 0.7565 0.7465 0.7445
V 0.0030 0.0041 0.4966
V 0.2510 0.7445 0.2489
V 0.2693 0.7476 0.7445
V 0.7395 0.2528 0.2521
V 0.7552 0.2541 0.7482
O 0.1200 0.1076 0.6359
O 0.1274 0.1293 0.1187
O 0.1289 0.6551 0.6354
O 0.1478 0.6222 0.1187
O 0.3447 0.8857 0.3690
O 0.3707 0.8537 0.8674
O 0.3885 0.3855 0.8681
O 0.3895 0.3759 0.3637
O 0.6121 0.6275 0.6336
O 0.6151 0.6257 0.1207
O 0.6272 0.1418 0.1198
O 0.6634 0.1108 0.6292
O 0.8594 0.3806 0.8742
O 0.8820 0.8705 0.8748
O 0.8890 0.3433 0.3684
O 0.8941 0.8826 0.3656

As for the space-group type: P1, No. 1.

What should be chosen as the least stable of them? Choose i.